Compound: La2MgTi3Ag2O10
Source: the Materials Project database
Functional: GGA-PBE
Structure: optimized geometry

```
data_La2MgTi3Ag2O10
_chemical_formula_sum 'La4 Mg2 Ti6 Ag4 O20'
_space_group_name_H-M_alt 'I -4 m 2'
_space_group_IT_number 119
_space_group_name_Hall 'I -4 -2'
_cell_length_a 3.8621
_cell_length_b 3.8621
_cell_length_c 32.5136
_cell_angle_alpha 90.00
_cell_angle_beta 90.00
_cell_angle_gamma 90.00
loop_
_atom_site_label
_atom_site_type_symbol
_atom_site_fract_x
_atom_site_fract_y
_atom_site_fract_z
_atom_site_occupancy
La1 La 0.0000 0.0000 0.0673 1
Mg1 Mg 0.0000 0.5000 0.7500 1
Ti1 Ti 0.0000 0.0000 0.3676 1
Ti2 Ti 0.0000 0.0000 0.5000 1
Ag1 Ag 0.0000 0.0000 0.1909 1
O1 O 0.0000 0.0000 0.3126 1
O2 O 0.0000 0.0000 0.4399 1
O3 O 0.0000 0.5000 0.0000 1
O4 O 0.0000 0.5000 0.1186 1
O5 O 0.0000 0.5000 0.6186 1
```

Output
- Energy relative to the elements: -51.904 eV per formula unit
- E above lowest polymorph: 0 meV/atom
- Calculated total energy: -270.7 eV/cell